# OsC4Cl2O4 | the Materials Project | PBE | optimized geometry
data_OsC4Cl2O4
_space_group_name_H-M_alt 'P 42/m n m'
_space_group_IT_number 136
_space_group_name_Hall '-P 4n 2n'
_cell_length_a 6.089
_cell_length_b 6.089
_cell_length_c 12.074
_cell_angle_alpha 90.00
_cell_angle_beta 90.00
_cell_angle_gamma 90.00
loop_
_atom_site_label
_atom_site_type_symbol
_atom_site_fract_x
_atom_site_fract_y
_atom_site_fract_z
Os1 Os 0.000 0.000 0.000
C1 C 0.161 0.161 0.116
Cl1 Cl 0.217 0.217 0.500
O1 O 0.249 0.751 0.314
# energy of formation	-0.94	eV per atom



# Tm3Ge | the Materials Project | PBE | optimized geometry
data_Tm3Ge
_space_group_name_H-M_alt 'I 4/m m m'
_space_group_IT_number 139
_space_group_name_Hall '-I 4 2'
_cell_length_a 4.443
_cell_length_b 4.443
_cell_length_c 10.172
_cell_angle_alpha 90.00
_cell_angle_beta 90.00
_cell_angle_gamma 90.00
loop_
_atom_site_label
_atom_site_type_symbol
_atom_site_fract_x
_atom_site_fract_y
_atom_site_fract_z
Tm1 Tm 0.000 0.000 0.000
Tm2 Tm 0.000 0.500 0.250
Ge1 Ge 0.000 0.000 0.500
# energy of formation	-0.30	eV per atom



# CsTiP2O7 | the Materials Project | PBE | optimized geometry
data_CsTiP2O7
_space_group_name_H-M_alt 'P 1 21/c 1'
_space_group_IT_number 14
_cell_length_a 7.875
_cell_length_b 10.403
_cell_length_c 8.449
_cell_angle_alpha 90.00
_cell_angle_beta 104.98
_cell_angle_gamma 90.00
loop_
_space_group_symop_operation_xyz
'x,y,z'
'-x,-y,-z'
'-x,y+1/2,-z+1/2'
'x,-y+1/2,z+1/2'
loop_
_atom_site_label
_atom_site_type_symbol
_atom_site_fract_x
_atom_site_fract_y
_atom_site_fract_z
Cs1 Cs 0.199 0.198 0.046
Ti1 Ti 0.240 0.602 0.258
P1 P 0.130 0.597 0.831
P2 P 0.425 0.628 0.682
O1 O 0.010 0.004 0.763
O2 O 0.091 0.735 0.769
O3 O 0.161 0.586 0.016
O4 O 0.314 0.552 0.792
O5 O 0.323 0.604 0.503
O6 O 0.393 0.068 0.773
O7 O 0.434 0.729 0.229
# energy of formation	-2.87	eV per atom



# KRb2DyCl6 | the Materials Project | PBE | optimized geometry
data_KRb2DyCl6
_space_group_name_H-M_alt 'F m -3 m'
_space_group_IT_number 225
_space_group_name_Hall '-F 4 2 3'
_cell_length_a 11.265
_cell_length_b 11.265
_cell_length_c 11.265
_cell_angle_alpha 90.00
_cell_angle_beta 90.00
_cell_angle_gamma 90.00
loop_
_atom_site_label
_atom_site_type_symbol
_atom_site_fract_x
_atom_site_fract_y
_atom_site_fract_z
K1 K 0.000 0.000 0.000
Rb1 Rb 0.250 0.250 0.250
Dy1 Dy 0.000 0.000 0.500
Cl1 Cl 0.000 0.000 0.266
# energy of formation	-2.47	eV per atom



# Li8BiO6 | the Materials Project | PBE | optimized geometry
data_Li8BiO6
_space_group_name_H-M_alt 'R -3'
_space_group_IT_number 148
_space_group_name_Hall '-R 3'
_cell_length_a 5.6518
_cell_length_b 5.6518
_cell_length_c 16.1521
_cell_angle_alpha 90.00
_cell_angle_beta 90.00
_cell_angle_gamma 120.00
loop_
_atom_site_label
_atom_site_type_symbol
_atom_site_fract_x
_atom_site_fract_y
_atom_site_fract_z
Li1 Li 0.0000 0.0000 0.1510
Li2 Li 0.0157 0.3151 0.7115
Bi1 Bi 0.0000 0.0000 0.5000
O1 O 0.0056 0.3529 0.2518
# energy of formation	-1.97	eV per atom



# ErNi2P2 | the Materials Project | PBE | optimized geometry
data_ErNi2P2
_space_group_name_H-M_alt 'I 4/m m m'
_space_group_IT_number 139
_space_group_name_Hall '-I 4 2'
_cell_length_a 3.854
_cell_length_b 3.854
_cell_length_c 9.346
_cell_angle_alpha 90.00
_cell_angle_beta 90.00
_cell_angle_gamma 90.00
loop_
_atom_site_label
_atom_site_type_symbol
_atom_site_fract_x
_atom_site_fract_y
_atom_site_fract_z
Er1 Er 0.000 0.000 0.000
Ni1 Ni 0.000 0.500 0.250
P1 P 0.000 0.000 0.378
# energy of formation	-1.01	eV per atom



# Sr10P6O25 | the Materials Project | PBE | optimized geometry
data_Sr10P6O25
_space_group_name_H-M_alt 'P 3'
_space_group_IT_number 143
_cell_length_a 9.9092
_cell_length_b 9.9092
_cell_length_c 7.3428
_cell_angle_alpha 90.00
_cell_angle_beta 90.00
_cell_angle_gamma 120.00
loop_
_space_group_symop_operation_xyz
'x,y,z'
'-y,x-y,z'
'-x+y,-x,z'
loop_
_atom_site_label
_atom_site_type_symbol
_atom_site_fract_x
_atom_site_fract_y
_atom_site_fract_z
Sr1 Sr 0.0000 0.0000 0.0000
Sr2 Sr 0.0000 0.0000 0.4877
Sr3 Sr 0.3333 0.6667 0.0071
Sr4 Sr 0.3333 0.6667 0.4964
Sr5 Sr 0.3871 0.3217 0.7463
Sr6 Sr 0.4395 0.0975 0.2533
P1 P 0.0425 0.7401 0.2469
P2 P 0.0556 0.3647 0.7505
O1 O 0.0046 0.4188 0.5788
O2 O 0.0790 0.2168 0.2376
O3 O 0.1507 0.6675 0.2507
O4 O 0.1910 0.0054 0.7476
O5 O 0.2171 0.7612 0.7562
O6 O 0.3034 0.2455 0.4235
O7 O 0.3195 0.2536 0.0769
O8 O 0.4193 0.0064 0.9177
O9 O 0.6667 0.3333 0.2914
# energy of formation	-3.32	eV per atom



# SrZnSi | the Materials Project | PBE | optimized geometry
data_SrZnSi
_space_group_name_H-M_alt 'P 63/m m c'
_space_group_IT_number 194
_space_group_name_Hall '-P 6c 2c'
_cell_length_a 4.3155
_cell_length_b 4.3155
_cell_length_c 9.0100
_cell_angle_alpha 90.00
_cell_angle_beta 90.00
_cell_angle_gamma 120.00
loop_
_atom_site_label
_atom_site_type_symbol
_atom_site_fract_x
_atom_site_fract_y
_atom_site_fract_z
Sr1 Sr 0.0000 0.0000 0.0000
Zn1 Zn 0.3333 0.6667 0.2500
Si1 Si 0.3333 0.6667 0.7500
# energy of formation	-0.41	eV per atom



Number 1: DFT total energy -7.201 eV/atom. Number 2: DFT total energy -4.808 eV/atom. Number 3: DFT total energy -7.368 eV/atom. Number 4: DFT total energy -3.979 eV/atom. Number 5: DFT total energy -4.953 eV/atom. Number 6: DFT total energy -6.397 eV/atom. Number 7: DFT total energy -7.121 eV/atom. Number 8: DFT total energy -3.228 eV/atom.